Below is KNb4AsO13 after structural relaxation, with properties calculated at the PBE-GGA level.

a b c (Å): 7.4988 10.1643 14.9961
angles (deg): 90.01 90.78 90.00
Closest atoms and distances in Å follow each position.
Space group P1 (No. 1)
Asymmetric unit:
1 K 0.0000 0.0000 0.0000 [1 per cell]  7 O 2.75-3.05
2 K 0.0010 0.0051 0.5004 [1 per cell]  7 O 2.75-3.02
3 K 0.8937 0.4999 0.9467 [1 per cell]  7 O 2.76-3.05
4 K 0.8949 0.5317 0.4474 [1 per cell]  5 O 2.72-2.89
5 Nb 0.0031 0.6862 0.1725 [1 per cell]  3 O 1.87-1.95
6 Nb 0.0033 0.6863 0.6737 [1 per cell]  3 O 1.86-1.96
7 Nb 0.2697 0.9371 0.3095 [1 per cell]  4 O 1.84-2.04
8 Nb 0.2706 0.9370 0.8094 [1 per cell]  4 O 1.84-2.04
9 Nb 0.2740 0.4366 0.3120 [1 per cell]  4 O 1.83-2.05
10 Nb 0.2758 0.4365 0.8118 [1 per cell]  4 O 1.84-2.05
11 Nb 0.3461 0.6861 0.0014 [1 per cell]  3 O 1.87-1.96
12 Nb 0.3466 0.6864 0.5016 [1 per cell]  3 O 1.86-1.95
13 Nb 0.5480 0.1865 0.4452 [1 per cell]  3 O 1.87-1.95
14 Nb 0.5482 0.1859 0.9454 [1 per cell]  3 O 1.87-1.95
15 Nb 0.6185 0.9371 0.1350 [1 per cell]  4 O 1.84-2.04
16 Nb 0.6194 0.9370 0.6349 [1 per cell]  4 O 1.84-2.04
17 Nb 0.6231 0.4367 0.1375 [1 per cell]  4 O 1.84-2.04
18 Nb 0.6245 0.4364 0.6373 [1 per cell]  4 O 1.83-2.05
19 Nb 0.8901 0.1865 0.2740 [1 per cell]  3 O 1.87-1.95
20 Nb 0.8911 0.1858 0.7740 [1 per cell]  3 O 1.87-1.95
21 As 0.2830 0.1893 0.1416 [1 per cell]  4 O 1.70-1.74
22 As 0.2839 0.1892 0.6417 [1 per cell]  4 O 1.70-1.74
23 As 0.6086 0.6898 0.3042 [1 per cell]  4 O 1.70-1.74
24 As 0.6100 0.6891 0.8051 [1 per cell]  4 O 1.70-1.74
25 O 0.0587 0.1853 0.1578 [1 per cell]  1 As 1.70
26 O 0.0596 0.1846 0.6580 [1 per cell]  1 As 1.70
27 O 0.0833 0.3256 0.3256 [1 per cell]  1 Nb 1.83
28 O 0.0852 0.3249 0.8249 [1 per cell]  1 Nb 1.84
29 O 0.0862 0.0553 0.8261 [1 per cell]  1 Nb 1.85
30 O 0.0857 0.0559 0.3254 [1 per cell]  1 Nb 1.85
31 O 0.1094 0.6879 0.0546 [1 per cell]  2 Nb 1.95-1.96
32 O 0.1109 0.6891 0.5555 [1 per cell]  2 Nb 1.95-1.96
33 O 0.1369 0.8299 0.2186 [1 per cell]  2 Nb 1.90-2.00
34 O 0.1372 0.8305 0.7190 [1 per cell]  2 Nb 1.90-1.99
35 O 0.1383 0.5484 0.2202 [1 per cell]  2 Nb 1.87-2.05
36 O 0.1397 0.5485 0.7202 [1 per cell]  2 Nb 1.86-2.05
37 O 0.2423 0.5550 0.9038 [1 per cell]  1 Nb 1.85
38 O 0.2418 0.8254 0.4045 [1 per cell]  1 Nb 1.84
39 O 0.2439 0.5562 0.4039 [1 per cell]  1 Nb 1.85
40 O 0.2438 0.8249 0.9043 [1 per cell]  1 Nb 1.84
41 O 0.3157 0.1849 0.0295 [1 per cell]  1 As 1.70
42 O 0.3161 0.1850 0.5296 [1 per cell]  1 As 1.70
43 O 0.3787 0.3288 0.1898 [1 per cell]  1 As 1.74
44 O 0.3796 0.0498 0.1899 [1 per cell]  1 As 1.74
45 O 0.3805 0.0498 0.6901 [1 per cell]  1 As 1.74
46 O 0.3800 0.3289 0.6895 [1 per cell]  1 As 1.74
47 O 0.4371 0.8300 0.0685 [1 per cell]  2 Nb 1.90-2.00
48 O 0.4382 0.8305 0.5685 [1 per cell]  2 Nb 1.90-1.99
49 O 0.4396 0.5481 0.0695 [1 per cell]  2 Nb 1.87-2.04
50 O 0.4412 0.5488 0.5694 [1 per cell]  2 Nb 1.86-2.05
51 O 0.4532 0.0483 0.3773 [1 per cell]  2 Nb 1.87-2.04
52 O 0.4544 0.0481 0.8772 [1 per cell]  2 Nb 1.87-2.04
53 O 0.4560 0.3299 0.3778 [1 per cell]  2 Nb 1.90-1.99
54 O 0.4569 0.3298 0.8781 [1 per cell]  2 Nb 1.90-1.99
55 O 0.5128 0.5501 0.2564 [1 per cell]  1 As 1.74
56 O 0.5126 0.8292 0.2564 [1 per cell]  1 As 1.74
57 O 0.5139 0.5496 0.7568 [1 per cell]  1 As 1.74
58 O 0.5143 0.8286 0.7569 [1 per cell]  1 As 1.74
59 O 0.5779 0.6848 0.9172 [1 per cell]  1 As 1.70
60 O 0.5778 0.6872 0.4165 [1 per cell]  1 As 1.70
61 O 0.6502 0.3249 0.0424 [1 per cell]  1 Nb 1.84
62 O 0.6511 0.3256 0.5418 [1 per cell]  1 Nb 1.83
63 O 0.6516 0.0552 0.0427 [1 per cell]  1 Nb 1.85
64 O 0.6516 0.0560 0.5432 [1 per cell]  1 Nb 1.85
65 O 0.7542 0.0486 0.2266 [1 per cell]  2 Nb 1.87-2.04
66 O 0.7551 0.0479 0.7271 [1 per cell]  2 Nb 1.87-2.04
67 O 0.7556 0.3301 0.2282 [1 per cell]  2 Nb 1.90-1.99
68 O 0.7564 0.3296 0.7281 [1 per cell]  2 Nb 1.90-1.99
69 O 0.7835 0.1862 0.3917 [1 per cell]  2 Nb 1.95
70 O 0.7843 0.1879 0.8920 [1 per cell]  2 Nb 1.95
71 O 0.8075 0.5552 0.1210 [1 per cell]  1 Nb 1.85
72 O 0.8083 0.5560 0.6219 [1 per cell]  1 Nb 1.85
73 O 0.8085 0.8250 0.1216 [1 per cell]  1 Nb 1.84
74 O 0.8095 0.8252 0.6211 [1 per cell]  1 Nb 1.84
75 O 0.8333 0.6865 0.2885 [1 per cell]  1 As 1.70
76 O 0.8346 0.6855 0.7893 [1 per cell]  1 As 1.70

Total energy ... -8.1256 eV/atom
Crystal system ... triclinic
ΔH_f (0 K) ... -2780 meV per atom

=====

Below is BaCd2 after structural relaxation, with properties calculated at the PBE-GGA level.

a b c (Å): 5.3266 8.4739 8.7975
angles (deg): 90.00 90.00 90.00
Closest atoms and distances in Å follow each position.
Space group Imma (No. 74)
Asymmetric unit:
1 Ba 0.0000 0.2500 0.0472 [4 per cell]  12 Cd 3.62-3.89
2 Cd 0.0000 0.0613 0.6646 [8 per cell]  4 Cd 3.06-3.20

Total energy ... -1.5893 eV/atom
Crystal system ... orthorhombic
ΔH_f (0 K) ... -334 meV per atom

=====

Below is SnC4O4 after structural relaxation, with properties calculated at the PBE-GGA level.

a b c (Å): 13.1500 20.6828 4.8626
angles (deg): 90.00 90.00 90.00
Closest atoms and distances in Å follow each position.
Space group Iba2 (No. 45)
Asymmetric unit:
1 Sn 0.1383 0.0850 0.0000 [8 per cell]  2 O 2.17
2 C 0.0920 0.2404 0.6030 [8 per cell]  1 C 1.40
3 C 0.1147 0.4297 0.8829 [8 per cell]  1 C 1.41
4 C 0.1198 0.1920 0.4152 [8 per cell]  2 O 1.26-1.34, 1 C 1.40
5 C 0.1955 0.4196 0.0683 [8 per cell]  2 O 1.26-1.34, 1 C 1.41
6 O 0.0758 0.1522 0.5985 [8 per cell]  1 C 1.34
7 O 0.1619 0.1790 0.1887 [8 per cell]  1 C 1.26
8 O 0.2174 0.3955 0.2998 [8 per cell]  1 C 1.26
9 O 0.2438 0.0502 0.3886 [8 per cell]  1 C 1.34

Total energy ... -6.4253 eV/atom
Crystal system ... orthorhombic
ΔH_f (0 K) ... 16 meV per atom

=====

Below is U4Cu3S2O34 after structural relaxation, with properties calculated at the PBE-GGA level.

a b c (Å): 8.8390 8.9610 9.5979
angles (deg): 71.03 72.23 76.11
Closest atoms and distances in Å follow each position.
Space group P-1 (No. 2)
Asymmetric unit:
1 U 0.0690 0.1603 0.0337 [2 per cell]  2 O 1.81-1.82
2 U 0.4117 0.8220 0.0341 [2 per cell]  2 O 1.81-1.83
3 Cu 0.0000 0.5000 0.5000 [1 per cell]  4 O 1.87-1.88
4 Cu 0.4766 0.6594 0.4768 [2 per cell]  4 O 1.80-1.92
5 S 0.2490 0.5011 0.0030 [2 per cell]  4 O 1.48-1.49
6 O 0.0186 0.0700 0.2366 [2 per cell]  1 U 1.81
7 O 0.0805 0.6928 0.4061 [2 per cell]  1 O 1.31
8 O 0.1029 0.6349 0.5434 [2 per cell]  1 O 1.31
9 O 0.1138 0.2730 0.8349 [2 per cell]  1 U 1.82
10 O 0.1448 0.9146 0.0039 [2 per cell]  3 U 2.23-2.38
11 O 0.1516 0.3729 0.0975 [2 per cell]  1 S 1.48
12 O 0.1602 0.6301 0.9015 [2 per cell]  1 S 1.48
13 O 0.2384 0.1589 0.4272 [2 per cell]  1 O 1.23
14 O 0.2680 0.2957 0.3936 [2 per cell]  1 O 1.23
15 O 0.2888 0.5727 0.1050 [2 per cell]  1 S 1.49
16 O 0.3550 0.0847 0.0029 [2 per cell]  3 U 2.22-2.41
17 O 0.3611 0.7920 0.2399 [2 per cell]  1 U 1.83
18 O 0.3754 0.4924 0.5961 [2 per cell]  2 Cu 1.80
19 O 0.3841 0.8575 0.5193 [2 per cell]  1 O 1.30
20 O 0.3986 0.4297 0.9088 [2 per cell]  1 S 1.49
21 O 0.4679 0.8214 0.8367 [2 per cell]  1 U 1.81
22 O 0.4849 0.1235 0.5876 [2 per cell]  1 O 1.30

Total energy ... -6.7393 eV/atom
Crystal system ... triclinic
ΔH_f (0 K) ... -1426 meV per atom

=====

Q: Look up the ΔH_f (0 K) of the second one.
A: -334 meV per atom

=====

Please write out number 4 again, unchanged.
Below is U4Cu3S2O34 after structural relaxation, with properties calculated at the PBE-GGA level.

a b c (Å): 8.8390 8.9610 9.5979
angles (deg): 71.03 72.23 76.11
Closest atoms and distances in Å follow each position.
Space group P-1 (No. 2)
Asymmetric unit:
1 U 0.0690 0.1603 0.0337 [2 per cell]  2 O 1.81-1.82
2 U 0.4117 0.8220 0.0341 [2 per cell]  2 O 1.81-1.83
3 Cu 0.0000 0.5000 0.5000 [1 per cell]  4 O 1.87-1.88
4 Cu 0.4766 0.6594 0.4768 [2 per cell]  4 O 1.80-1.92
5 S 0.2490 0.5011 0.0030 [2 per cell]  4 O 1.48-1.49
6 O 0.0186 0.0700 0.2366 [2 per cell]  1 U 1.81
7 O 0.0805 0.6928 0.4061 [2 per cell]  1 O 1.31
8 O 0.1029 0.6349 0.5434 [2 per cell]  1 O 1.31
9 O 0.1138 0.2730 0.8349 [2 per cell]  1 U 1.82
10 O 0.1448 0.9146 0.0039 [2 per cell]  3 U 2.23-2.38
11 O 0.1516 0.3729 0.0975 [2 per cell]  1 S 1.48
12 O 0.1602 0.6301 0.9015 [2 per cell]  1 S 1.48
13 O 0.2384 0.1589 0.4272 [2 per cell]  1 O 1.23
14 O 0.2680 0.2957 0.3936 [2 per cell]  1 O 1.23
15 O 0.2888 0.5727 0.1050 [2 per cell]  1 S 1.49
16 O 0.3550 0.0847 0.0029 [2 per cell]  3 U 2.22-2.41
17 O 0.3611 0.7920 0.2399 [2 per cell]  1 U 1.83
18 O 0.3754 0.4924 0.5961 [2 per cell]  2 Cu 1.80
19 O 0.3841 0.8575 0.5193 [2 per cell]  1 O 1.30
20 O 0.3986 0.4297 0.9088 [2 per cell]  1 S 1.49
21 O 0.4679 0.8214 0.8367 [2 per cell]  1 U 1.81
22 O 0.4849 0.1235 0.5876 [2 per cell]  1 O 1.30

Total energy ... -6.7393 eV/atom
Crystal system ... triclinic
ΔH_f (0 K) ... -1426 meV per atom

=====

Q: total energy of number 4 (U4Cu3S2O34)?
A: -6.7393 eV/atom

=====

Q: The highest ΔH_f (0 K) belongs to which entry?
A: SnC4O4